Below is Cu2N after structural relaxation, with properties calculated at the PBE level.

abc: 2.923 2.923 3.765
angles: 90.00 90.00 90.00
Sites, in units of the cell vectors:
Cu1 0.000 0.000 0.000
Cu2 0.500 0.500 0.500
N1 0.500 0.500 0.000

## Properties
- space-group type = No. 123
- total magnetization (μB/cell) = 0.0
- electronic total energy (eV per atom) = -5.040